Entry a
First-principles (PBE) data for a relaxed structure of K4MgZn4H16Br12O8, as listed in Materials Project.

```
K4MgZn4H16Br12O8
1.0
-5.141 3.945 -3.772
4.816 -5.530 -10.596
-0.446 -12.042 5.723
K Mg Zn H Br O
4 1 4 16 12 8
Direct
0.413 0.806 0.030
0.740 0.343 0.503
0.636 0.178 0.978
0.308 0.681 0.512
0.824 0.996 0.835
0.351 0.974 0.677
0.527 0.428 0.760
0.501 0.080 0.271
0.479 0.566 0.246
0.790 0.261 0.807
0.211 0.764 0.696
0.218 0.719 0.205
0.784 0.242 0.284
0.947 0.340 0.936
0.996 0.814 0.562
0.063 0.647 0.067
0.922 0.184 0.427
0.887 0.140 0.708
0.096 0.652 0.776
0.118 0.849 0.247
0.953 0.350 0.225
0.613 0.123 0.636
0.339 0.612 0.836
0.394 0.841 0.346
0.694 0.379 0.149
0.299 0.395 0.526
0.827 0.935 0.027
0.700 0.599 0.482
0.269 0.096 0.026
0.312 0.411 0.836
0.886 0.857 0.737
0.733 0.596 0.197
0.323 0.126 0.358
0.102 0.142 0.656
0.758 0.592 0.835
0.687 0.917 0.334
0.263 0.396 0.171
0.168 0.805 0.619
0.782 0.311 0.860
0.764 0.201 0.341
0.226 0.675 0.146
0.260 0.676 0.818
0.775 0.136 0.726
0.792 0.319 0.181
0.243 0.801 0.310
```

## Properties
Total magnetization ... 0.0 μB per formula unit
ρ ... 2.682 g/cm3
Space group ... P1



Entry b
First-principles (PBE) data for a relaxed structure of K4MgZn4H16Br12O8, as listed in Materials Project.

```
K4MgZn4H16Br12O8
1.0
-3.870 -1.195 5.764
-7.159 -8.509 -6.202
11.319 -6.614 -4.346
K Mg Zn H Br O
4 1 4 16 12 8
Direct
0.282 0.830 0.002
0.711 0.326 0.500
0.733 0.169 0.009
0.074 0.671 0.419
0.712 0.689 0.658
0.483 0.946 0.750
0.506 0.421 0.767
0.524 0.071 0.265
0.426 0.555 0.208
0.805 0.266 0.799
0.240 0.781 0.718
0.165 0.725 0.188
0.817 0.222 0.298
0.947 0.335 0.922
0.062 0.858 0.597
0.004 0.658 0.064
0.967 0.148 0.423
0.963 0.172 0.727
0.179 0.650 0.795
0.103 0.870 0.266
0.917 0.347 0.212
0.710 0.134 0.676
0.456 0.667 0.866
0.370 0.827 0.342
0.643 0.349 0.154
0.298 0.417 0.547
0.710 0.908 0.971
0.639 0.586 0.426
0.310 0.096 0.046
0.252 0.388 0.822
0.764 0.936 0.705
0.658 0.590 0.138
0.277 0.108 0.326
0.253 0.111 0.675
0.752 0.576 0.869
0.713 0.894 0.339
0.255 0.384 0.160
0.230 0.829 0.656
0.789 0.305 0.857
0.804 0.179 0.356
0.169 0.683 0.128
0.300 0.706 0.831
0.800 0.199 0.695
0.784 0.301 0.188
0.202 0.804 0.299
```

## Properties
Total magnetization ... 0.0 μB per formula unit
ρ ... 2.660 g/cm3
Space group ... P1



The structure shown above that is least stable: entry b.